Crystalline ThH18S2O17 at its relaxed geometry, computed with PBE.

Properties
The calculated volume is 361.6 Å³/f.u. The formation energy comes out at -1.64 eV/atom. As for the mass density: 2.69 g/cm³.

a b c (Å): 7.253 12.349 8.149
angles (deg): 90.00 97.79 90.00
Space group P2_1/m (No. 11)
One atom of each set of equivalent atoms:
Th 0.242 0.250 0.222 [2 per cell]
H 0.016 0.122 0.925 [4 per cell]
H 0.039 0.600 0.608 [4 per cell]
H 0.124 0.655 0.337 [4 per cell]
H 0.165 0.061 0.466 [4 per cell]
H 0.185 0.685 0.870 [4 per cell]
H 0.199 0.052 0.977 [4 per cell]
H 0.269 0.593 0.247 [4 per cell]
H 0.439 0.186 0.580 [4 per cell]
H 0.456 0.186 0.924 [4 per cell]
S 0.389 0.526 0.738 [4 per cell]
O 0.094 0.122 0.406 [4 per cell]
O 0.107 0.750 0.843 [2 per cell]
O 0.127 0.115 0.013 [4 per cell]
O 0.146 0.627 0.230 [4 per cell]
O 0.261 0.547 0.582 [4 per cell]
O 0.297 0.554 0.884 [4 per cell]
O 0.434 0.250 0.507 [2 per cell]
O 0.441 0.096 0.261 [4 per cell]
O 0.451 0.089 0.745 [4 per cell]
O 0.455 0.250 0.997 [2 per cell]